Entry 1:
First-principles (PBE-GGA) data for Zr2NiP after structural relaxation, as listed in the Materials Project database.

Cell lengths 3.6490, 5.2677, 7.4906 Å; angles 69.72, 90.00, 90.00 degrees
With the nearest neighbours (Å) after each atom.
Atoms (fractional coordinates):
Ni: 0.7500 0.3530 0.2898  2 P 2.31
Ni: 0.2500 0.6470 0.7102  2 P 2.31
P: 0.2500 0.1427 0.2121  2 Ni 2.31
P: 0.7500 0.8573 0.7879  2 Ni 2.31
Zr: 0.2500 0.7177 0.0746  4 P 2.72-2.84, 3 Ni 2.73-2.88
Zr: 0.2500 0.2206 0.5702  4 Ni 2.69-2.83, 3 P 2.74-2.85
Zr: 0.7500 0.2823 0.9254  4 P 2.72-2.84, 3 Ni 2.73-2.88
Zr: 0.7500 0.7794 0.4298  4 Ni 2.69-2.83, 3 P 2.74-2.85

formation energy from the elements	-0.992	eV per atom
E_tot	-64.52	eV for the cell shown

---

Entry 2:
First-principles (PBE-GGA) data for MgTi2 after structural relaxation, as listed in the Materials Project database.

Cell lengths 5.8085, 5.8085, 7.1333 Å; angles 74.79, 74.79, 28.74 degrees
With the nearest neighbours (Å) after each atom.
Atoms (fractional coordinates):
Mg: 0.6088 0.6088 0.2790  4 Mg 2.88-2.97, 8 Ti 2.96-3.13
Mg: 0.9432 0.9432 0.6140  4 Mg 2.88-2.97, 8 Ti 2.93-3.11
Ti: 0.6739 0.6739 0.6788  8 Ti 2.88-3.04, 4 Mg 2.94-3.13
Ti: 0.2807 0.2807 0.9421  8 Ti 2.88-3.10, 4 Mg 2.93-3.01
Ti: 0.9973 0.9973 0.9982  9 Ti 2.88-3.10, 3 Mg 2.96-3.00
Ti: 0.3294 0.3294 0.3213  7 Ti 2.88-3.04, 5 Mg 2.96-3.09

formation energy from the elements	0.169	eV per atom
E_tot	-33.77	eV for the cell shown
magnetization	0.00	μB per formula unit

---

Entry 3:
First-principles (PBE-GGA) data for KHgC2IN2 after structural relaxation, as listed in the Materials Project database.

Cell lengths 8.5052, 8.5052, 9.8795 Å; angles 90.00, 90.00, 149.36 degrees
With the nearest neighbours (Å) after each atom.
Atoms (fractional coordinates):
Hg: 0.0000 0.0000 0.0000  2 C 2.06
Hg: 0.0000 0.0000 0.5000  2 C 2.06
N: 0.8099 0.1901 0.9149  1 C 1.17
N: 0.8099 0.1901 0.5851  1 C 1.17
N: 0.1901 0.8099 0.0851  1 C 1.17
N: 0.1901 0.8099 0.4149  1 C 1.17
K: 0.7634 0.2366 0.2500  4 N 3.02
K: 0.2366 0.7634 0.7500  4 N 3.02
I: 0.5519 0.4481 0.7500  4 Hg 3.45, 2 K 3.77
I: 0.4481 0.5519 0.2500  4 Hg 3.45, 2 K 3.77
C: 0.8787 0.1213 0.5540  1 N 1.17
C: 0.1213 0.8787 0.4460  1 N 1.17
C: 0.8787 0.1213 0.9460  1 N 1.17
C: 0.1213 0.8787 0.0540  1 N 1.17

energy with MP2020 corrections	-78.302	eV/cell
formation energy from the elements	-0.155	eV per atom
E_tot	-76.86	eV for the cell shown
magnetization	0.00	μB per formula unit

---

Entry 4:
First-principles (PBE-GGA) data for Er5Sb3 after structural relaxation, as listed in the Materials Project database.

Cell lengths 8.9024, 8.9024, 6.2501 Å; angles 90.00, 90.00, 120.00 degrees
With the nearest neighbours (Å) after each atom.
Atoms (fractional coordinates):
Sb: 0.6109 0.0000 0.2500  9 Er 3.03-3.37
Sb: 0.0000 0.3891 0.7500  9 Er 3.03-3.37
Sb: 0.6109 0.6109 0.7500  9 Er 3.03-3.37
Sb: 0.0000 0.6109 0.2500  9 Er 3.03-3.37
Sb: 0.3891 0.3891 0.2500  9 Er 3.03-3.37
Sb: 0.3891 0.0000 0.7500  9 Er 3.03-3.37
Er: 0.0000 0.7540 0.7500  5 Sb 3.03-3.37
Er: 0.0000 0.2460 0.2500  5 Sb 3.03-3.37
Er: 0.2460 0.2460 0.7500  5 Sb 3.03-3.37
Er: 0.3333 0.6667 0.0000  2 Er 3.13, 6 Sb 3.17
Er: 0.6667 0.3333 0.5000  2 Er 3.13, 6 Sb 3.17
Er: 0.2460 0.0000 0.2500  5 Sb 3.03-3.37
Er: 0.7540 0.0000 0.7500  5 Sb 3.03-3.37
Er: 0.6667 0.3333 0.0000  2 Er 3.13, 6 Sb 3.17
Er: 0.3333 0.6667 0.5000  2 Er 3.13, 6 Sb 3.17
Er: 0.7540 0.7540 0.2500  5 Sb 3.03-3.37

energy above the lowest structure with this stoichiometry	0.000	eV/atom
energy with MP2020 corrections	-85.716	eV/cell
formation energy from the elements	-0.954	eV per atom
E_tot	-84.56	eV for the cell shown

---

Entry 5:
First-principles (PBE-GGA) data for LiLaNb2O7 after structural relaxation, as listed in the Materials Project database.

Cell lengths 10.6901, 10.6901, 10.6901 Å; angles 158.87, 158.87, 30.05 degrees
With the nearest neighbours (Å) after each atom.
Atoms (fractional coordinates):
O: 0.0888 0.5888 0.5000  2 Nb 2.01
O: 0.9101 0.4101 0.5000  2 Nb 2.01
O: 0.3009 0.3009 0.0000  1 Nb 1.81
O: 0.6991 0.6991 0.0000  1 Nb 1.81
O: 0.5000 0.5000 0.0000  2 Nb 2.30
O: 0.4112 0.9112 0.5000  2 Nb 2.01
O: 0.5899 0.0899 0.5000  2 Nb 2.01
Nb: 0.3887 0.3887 0.0000  5 O 1.81-2.01
Nb: 0.6113 0.6113 0.0000  5 O 1.81-2.01
Li: 0.7500 0.2500 0.5000  4 O 2.22
La: 0.0000 0.0000 0.0000  12 O 2.68-2.77

maximum piezoelectric response	4.9	C/m2
energy with MP2020 corrections	-96.685	eV/cell
formation energy from the elements	-3.182	eV per atom
E_tot	-91.88	eV for the cell shown
magnetization	0.02	μB per formula unit

---

Entry 6:
First-principles (PBE-GGA) data for TaCu3TeSe2S after structural relaxation, as listed in the Materials Project database.

Cell lengths 5.7632, 5.7665, 5.7632 Å; angles 91.15, 90.12, 91.15 degrees
With the nearest neighbours (Å) after each atom.
Atoms (fractional coordinates):
Cu: 0.9879 0.4985 0.9879  1 S 2.36, 2 Se 2.49
Cu: 0.5050 0.9995 0.9879  1 S 2.37, 2 Se 2.47-2.51, 1 Te 2.63
Cu: 0.9879 0.9995 0.5050  1 S 2.37, 2 Se 2.47-2.51, 1 Te 2.63
Ta: 0.9972 0.9993 0.9972  1 S 2.33, 2 Se 2.46
Se: 0.2410 0.7523 0.7483  1 Ta 2.46, 3 Cu 2.47-2.51
Se: 0.7483 0.7523 0.2410  1 Ta 2.46, 3 Cu 2.47-2.51
S: 0.7657 0.2272 0.7657  1 Ta 2.33, 3 Cu 2.36-2.37
Te: 0.2671 0.2712 0.2671  3 Cu 2.63-2.66, 1 Ta 2.66

energy with MP2020 corrections	-42.766	eV/cell
formation energy from the elements	-0.542	eV per atom
E_tot	-42.26	eV for the cell shown
magnetization	0.00	μB per formula unit